Record 1
The following is a DFT calculation (PBE) of an optimized crystal structure of Mn2GaCu3.

Structure (POSCAR):
```
Mn2GaCu3
1.0
2.432 1.404 3.961
-2.432 1.404 3.961
0.000 -2.808 3.961
Mn Ga Cu
2 1 3
direct
0.125 0.125 0.125 Mn
0.875 0.875 0.875 Mn
0.500 0.500 0.500 Ga
0.000 0.500 0.500 Cu
0.500 0.000 0.500 Cu
0.500 0.500 0.000 Cu
```

Calculated values
* crystal system: trigonal
* uncorrected energy: -5.538 eV per atom
* size of the total moment: 7.5 μB/f.u.
* energy of formation: 71 meV/atom

Record 2
The following is a DFT calculation (PBE) of an optimized crystal structure of Ga40CuMo8.

Structure (POSCAR):
```
Ga40CuMo8
1.0
7.056 4.074 5.072
-7.056 4.074 5.072
0.000 -8.148 5.072
Ga Cu Mo
40 1 8
direct
0.000 0.000 0.000 Ga
0.000 0.000 0.500 Ga
0.000 0.500 0.000 Ga
0.038 0.279 0.175 Ga
0.050 0.426 0.721 Ga
0.100 0.287 0.468 Ga
0.111 0.135 0.766 Ga
0.135 0.766 0.111 Ga
0.175 0.038 0.279 Ga
0.180 0.677 0.625 Ga
0.234 0.889 0.865 Ga
0.245 0.555 0.376 Ga
0.279 0.175 0.038 Ga
0.279 0.950 0.574 Ga
0.287 0.468 0.100 Ga
0.323 0.375 0.820 Ga
0.375 0.820 0.323 Ga
0.376 0.245 0.555 Ga
0.426 0.721 0.050 Ga
0.445 0.624 0.755 Ga
0.468 0.100 0.287 Ga
0.500 0.000 0.000 Ga
0.532 0.900 0.713 Ga
0.555 0.376 0.245 Ga
0.574 0.279 0.950 Ga
0.624 0.755 0.445 Ga
0.625 0.180 0.677 Ga
0.677 0.625 0.180 Ga
0.713 0.532 0.900 Ga
0.721 0.050 0.426 Ga
0.721 0.825 0.962 Ga
0.755 0.445 0.624 Ga
0.766 0.111 0.135 Ga
0.820 0.323 0.375 Ga
0.825 0.962 0.721 Ga
0.865 0.234 0.889 Ga
0.889 0.865 0.234 Ga
0.900 0.713 0.532 Ga
0.950 0.574 0.279 Ga
0.962 0.721 0.825 Ga
0.500 0.500 0.500 Cu
0.112 0.791 0.388 Mo
0.209 0.612 0.888 Mo
0.301 0.301 0.301 Mo
0.388 0.112 0.791 Mo
0.612 0.888 0.209 Mo
0.699 0.699 0.699 Mo
0.791 0.388 0.112 Mo
0.888 0.209 0.612 Mo
```

Calculated values
* crystal system: trigonal
* uncorrected energy: -4.464 eV per atom
* size of the total moment: 0.0 μB/f.u.
* energy of formation: -138 meV/atom